1.
First-principles (GGA+U) data for a relaxed V2Fe3TeP6O24 crystal, as listed in Materials Project.

abc: 8.606 8.606 8.606
angles: 61.06 61.06 61.06
Fractional coordinates of all 36 atoms:
O 0.104 0.494 0.332
O 0.820 0.024 0.591
O 0.997 0.393 0.179
O 0.591 0.248 0.429
O 0.560 0.409 0.753
Fe 0.353 0.353 0.353
O 0.684 0.890 0.500
O 0.179 0.997 0.393
O 0.890 0.500 0.684
O 0.409 0.753 0.560
O 0.102 0.943 0.742
O 0.429 0.591 0.248
O 0.753 0.560 0.409
O 0.943 0.742 0.102
O 0.906 0.066 0.249
V 0.002 0.002 0.002
P 0.053 0.443 0.747
Fe 0.645 0.645 0.645
P 0.540 0.258 0.954
O 0.332 0.104 0.494
O 0.591 0.820 0.024
O 0.500 0.684 0.890
Fe 0.147 0.147 0.147
O 0.248 0.429 0.591
O 0.742 0.102 0.943
P 0.443 0.747 0.053
P 0.954 0.540 0.258
P 0.747 0.053 0.443
V 0.499 0.499 0.499
O 0.066 0.249 0.906
Te 0.852 0.852 0.852
O 0.393 0.179 0.997
O 0.249 0.906 0.066
P 0.258 0.954 0.540
O 0.494 0.332 0.104
O 0.024 0.591 0.820

Results
Its volume is 461.47 Å³ per cell. As for the mass density: 3.48 g cm⁻³. For the formation enthalpy at 0 K, the calculation gives -84.46 eV per formula unit. Its total energy is -7.104 eV/atom. As for the energy with MP2020 corrections: -7.845 eV per atom.

***

2.
First-principles (GGA+U) data for a relaxed V2Fe3NiP6O24 crystal, as listed in Materials Project.

abc: 8.369 8.369 8.369
angles: 62.35 62.35 62.35
Fractional coordinates of all 36 atoms:
Fe 0.854 0.854 0.854
P 0.048 0.750 0.452
O 0.107 0.324 0.507
P 0.750 0.452 0.048
P 0.547 0.952 0.249
O 0.252 0.597 0.437
O 0.404 0.567 0.747
O 0.175 0.397 0.988
O 0.324 0.507 0.107
O 0.005 0.825 0.607
V 0.002 0.002 0.002
O 0.497 0.894 0.673
O 0.673 0.497 0.894
O 0.437 0.252 0.597
O 0.988 0.175 0.397
O 0.597 0.437 0.252
O 0.098 0.756 0.938
O 0.567 0.747 0.404
Fe 0.352 0.352 0.352
O 0.938 0.098 0.756
V 0.501 0.501 0.501
P 0.952 0.249 0.547
O 0.747 0.404 0.567
P 0.249 0.547 0.952
O 0.507 0.107 0.324
O 0.247 0.060 0.900
O 0.756 0.938 0.098
O 0.900 0.247 0.060
O 0.825 0.607 0.005
O 0.397 0.988 0.175
P 0.452 0.048 0.750
Fe 0.647 0.647 0.647
Ni 0.145 0.145 0.145
O 0.607 0.005 0.825
O 0.894 0.673 0.497
O 0.060 0.900 0.247

Results
Its volume is 436.14 Å³ per cell. As for the mass density: 3.42 g cm⁻³. For the formation enthalpy at 0 K, the calculation gives -84.42 eV per formula unit. Its total energy is -7.106 eV/atom. As for the energy with MP2020 corrections: -7.917 eV per atom.

***

3.
First-principles (GGA+U) data for a relaxed BaV13O18 crystal, as listed in Materials Project.

abc: 7.906 8.011 8.121
angles: 112.59 109.51 110.93
Fractional coordinates of all 32 atoms:
V 0.598 0.658 0.236
O 0.683 0.516 0.780
V 0.434 0.927 0.123
O 0.933 0.390 0.614
O 0.480 0.212 0.327
O 0.395 0.621 0.946
O 0.898 0.841 0.287
O 0.220 0.315 0.485
V 0.647 0.231 0.604
O 0.101 0.162 0.720
V 0.928 0.127 0.431
O 0.276 0.903 0.842
V 0.078 0.879 0.572
O 0.778 0.682 0.511
V 0.403 0.344 0.766
V 0.758 0.394 0.341
O 0.175 0.736 0.114
V 0.232 0.600 0.654
O 0.383 0.051 0.610
O 0.323 0.480 0.213
O 0.603 0.385 0.059
V 0.115 0.431 0.920
O 0.622 0.950 0.392
V 0.886 0.571 0.081
O 0.723 0.100 0.154
V 0.499 0.498 0.499
O 0.517 0.784 0.676
Ba 0.000 0.996 0.997
O 0.830 0.263 0.886
V 0.567 0.076 0.877
O 0.059 0.608 0.386
V 0.354 0.768 0.398

Results
Its volume is 371.44 Å³ per cell. As for the mass density: 4.86 g cm⁻³. For the formation enthalpy at 0 K, the calculation gives -76.85 eV per formula unit. Its total energy is -7.858 eV/atom. As for the energy with MP2020 corrections: -8.935 eV per atom.

***

4.
First-principles (GGA+U) data for a relaxed K2VAuF6 crystal, as listed in Materials Project.

abc: 6.237 6.237 6.237
angles: 60.00 60.00 60.00
Fractional coordinates of all 10 atoms:
F 0.222 0.778 0.222
V 0.000 0.000 0.000
K 0.750 0.750 0.750
K 0.250 0.250 0.250
F 0.778 0.222 0.778
Au 0.500 0.500 0.500
F 0.222 0.778 0.778
F 0.778 0.778 0.222
F 0.778 0.222 0.222
F 0.222 0.222 0.778

Results
Its volume is 171.58 Å³ per cell. As for the mass density: 4.26 g cm⁻³. For the formation enthalpy at 0 K, the calculation gives -25.02 eV per formula unit. Its total energy is -4.661 eV/atom. As for the energy with MP2020 corrections: -5.109 eV per atom.

***

5.
First-principles (GGA+U) data for a relaxed LiSm4Ti2Mn2O12 crystal, as listed in Materials Project.

abc: 5.499 5.852 8.081
angles: 90.68 92.63 89.28
Fractional coordinates of all 21 atoms:
Sm 0.516 0.569 0.233
O 0.278 0.685 0.954
Li 0.663 0.620 0.572
O 0.857 0.550 0.765
Mn 0.049 0.499 0.479
O 0.688 0.315 0.431
Mn 0.496 0.987 0.000
O 0.624 0.042 0.734
O 0.210 0.191 0.562
O 0.169 0.196 0.936
Sm 0.445 0.405 0.785
O 0.382 0.955 0.269
Sm 0.030 0.926 0.739
O 0.802 0.783 0.074
O 0.118 0.445 0.229
Ti 0.979 0.500 0.996
O 0.818 0.825 0.448
O 0.687 0.310 0.048
Ti 0.511 0.030 0.497
Sm 0.978 0.063 0.246
O 0.337 0.698 0.578

Results
Its volume is 259.76 Å³ per cell. As for the mass density: 6.43 g cm⁻³. For the formation enthalpy at 0 K, the calculation gives -67.48 eV per formula unit. Its total energy is -8.103 eV/atom. As for the energy with MP2020 corrections: -8.655 eV per atom.

***

6.
First-principles (GGA+U) data for a relaxed Li3MnSi2O7 crystal, as listed in Materials Project.

abc: 13.047 8.537 8.592
angles: 61.48 90.00 90.00
Fractional coordinates of all 78 atoms:
Li 0.782 0.331 0.344
O 0.898 0.577 0.545
O 0.071 0.819 0.417
Mn 0.769 0.017 0.974
O 0.151 0.138 0.792
O 0.767 0.122 0.569
Li 0.432 0.314 0.017
Li 0.105 0.311 0.019
O 0.161 0.073 0.130
Si 0.154 0.351 0.671
Mn 0.544 0.664 0.668
Li 0.600 0.331 0.696
Li 0.767 0.661 0.681
Mn 0.491 0.335 0.332
O 0.570 0.561 0.246
O 0.966 0.246 0.191
O 0.267 0.878 0.431
O 0.651 0.862 0.208
Li 0.536 0.999 0.002
O 0.768 0.294 0.143
Si 0.657 0.325 0.034
Si 0.379 0.674 0.968
O 0.136 0.421 0.457
O 0.466 0.754 0.809
O 0.463 0.818 0.422
Si 0.881 0.653 0.329
Mn 0.991 0.665 0.668
Si 0.879 0.021 0.652
O 0.871 0.920 0.871
O 0.464 0.434 0.754
Si 0.379 0.979 0.348
O 0.897 0.872 0.586
O 0.141 0.127 0.414
O 0.888 0.534 0.893
O 0.268 0.706 0.857
O 0.641 0.873 0.586
Li 0.101 0.027 0.661
Li 0.601 0.973 0.339
Li 0.282 0.669 0.656
O 0.644 0.532 0.893
O 0.661 0.927 0.870
O 0.398 0.423 0.455
Li 0.267 0.339 0.319
Si 0.157 0.675 0.966
Li 0.936 0.972 0.335
Li 0.436 0.028 0.665
Li 0.605 0.689 0.981
O 0.267 0.436 0.683
O 0.144 0.468 0.107
Li 0.435 0.670 0.304
O 0.658 0.200 0.936
Li 0.935 0.330 0.696
Li 0.932 0.686 0.983
O 0.397 0.128 0.414
O 0.767 0.564 0.317
Si 0.654 0.649 0.329
O 0.875 0.204 0.932
O 0.371 0.080 0.129
O 0.070 0.439 0.754
O 0.388 0.466 0.107
O 0.068 0.757 0.810
O 0.571 0.181 0.583
O 0.879 0.862 0.210
O 0.568 0.243 0.190
Mn 0.269 0.983 0.026
O 0.636 0.579 0.543
Li 0.036 0.001 0.998
Si 0.154 0.978 0.348
Li 0.100 0.669 0.304
O 0.379 0.138 0.790
O 0.964 0.566 0.246
Si 0.381 0.347 0.671
Mn 0.044 0.336 0.332
O 0.963 0.182 0.578
Si 0.879 0.326 0.032
O 0.375 0.796 0.068
Si 0.654 0.022 0.652
O 0.158 0.800 0.064

Results
Its volume is 840.89 Å³ per cell. As for the mass density: 2.89 g cm⁻³. For the formation enthalpy at 0 K, the calculation gives -35.19 eV per formula unit. Its total energy is -6.853 eV/atom. As for the energy with MP2020 corrections: -7.351 eV per atom.

***

Which of these has the lowest mass density? Li3MnSi2O7

***

Please write out number 1 again, unchanged.
First-principles (GGA+U) data for a relaxed V2Fe3TeP6O24 crystal, as listed in Materials Project.

abc: 8.606 8.606 8.606
angles: 61.06 61.06 61.06
Fractional coordinates of all 36 atoms:
O 0.104 0.494 0.332
O 0.820 0.024 0.591
O 0.997 0.393 0.179
O 0.591 0.248 0.429
O 0.560 0.409 0.753
Fe 0.353 0.353 0.353
O 0.684 0.890 0.500
O 0.179 0.997 0.393
O 0.890 0.500 0.684
O 0.409 0.753 0.560
O 0.102 0.943 0.742
O 0.429 0.591 0.248
O 0.753 0.560 0.409
O 0.943 0.742 0.102
O 0.906 0.066 0.249
V 0.002 0.002 0.002
P 0.053 0.443 0.747
Fe 0.645 0.645 0.645
P 0.540 0.258 0.954
O 0.332 0.104 0.494
O 0.591 0.820 0.024
O 0.500 0.684 0.890
Fe 0.147 0.147 0.147
O 0.248 0.429 0.591
O 0.742 0.102 0.943
P 0.443 0.747 0.053
P 0.954 0.540 0.258
P 0.747 0.053 0.443
V 0.499 0.499 0.499
O 0.066 0.249 0.906
Te 0.852 0.852 0.852
O 0.393 0.179 0.997
O 0.249 0.906 0.066
P 0.258 0.954 0.540
O 0.494 0.332 0.104
O 0.024 0.591 0.820

Results
Its volume is 461.47 Å³ per cell. As for the mass density: 3.48 g cm⁻³. For the formation enthalpy at 0 K, the calculation gives -84.46 eV per formula unit. Its total energy is -7.104 eV/atom. As for the energy with MP2020 corrections: -7.845 eV per atom.